## SrCa7Ti2Mn6O24 (PBE+U)

Data for an optimized crystal structure of SrCa7Ti2Mn6O24.

Unit cell a=10.8789 b=15.2492 c=10.7452 alpha=90.01 beta=90.01 gamma=89.99
Element x y z (fractional)
Sr 0.0114 0.1246 0.4983
Sr 0.4859 0.3766 0.0024
Sr 0.2352 0.3775 0.2471
Sr 0.2681 0.1244 0.2533
Ca 0.0173 0.1246 0.9956
Ca 0.0231 0.6252 0.4965
Ca 0.0230 0.6252 0.9968
Ca 0.5236 0.1247 0.4955
Ca 0.5245 0.1249 0.9953
Ca 0.5233 0.6253 0.4952
Ca 0.5230 0.6252 0.9957
Ca 0.4803 0.3766 0.5055
Ca 0.4792 0.8735 0.0051
Ca 0.4795 0.8733 0.5048
Ca 0.9769 0.3771 0.0043
Ca 0.9760 0.3770 0.5043
Ca 0.9762 0.8728 0.0044
Ca 0.9767 0.8730 0.5038
Ca 0.2286 0.3779 0.7444
Ca 0.2290 0.8721 0.2460
Ca 0.2287 0.8720 0.7456
Ca 0.7287 0.3749 0.2468
Ca 0.7271 0.3749 0.7452
Ca 0.7272 0.8751 0.2457
Ca 0.7268 0.8751 0.7453
Ca 0.2752 0.1245 0.7553
Ca 0.2734 0.6254 0.2528
Ca 0.2735 0.6255 0.7533
Ca 0.7662 0.1248 0.2536
Ca 0.7682 0.1250 0.7555
Ca 0.7726 0.6252 0.2544
Ca 0.7729 0.6249 0.7548
Ti 0.9966 0.9970 0.2495
Ti 0.9984 0.9980 0.7523
Ti 0.2512 0.9976 0.9991
Ti 0.2522 0.9973 0.5032
Ti 0.2498 0.2504 0.9979
Ti 0.2515 0.2518 0.5046
Ti 0.9955 0.2523 0.2500
Ti 0.9981 0.2518 0.7518
Mn 0.9993 0.5022 0.2508
Mn 0.0002 0.5016 0.7507
Mn 0.5027 0.9989 0.2519
Mn 0.5022 0.9995 0.7520
Mn 0.5027 0.5025 0.2507
Mn 0.5006 0.5014 0.7479
Mn 0.2498 0.5028 0.9971
Mn 0.2507 0.5025 0.5009
Mn 0.7479 0.9988 0.0013
Mn 0.7463 0.9983 0.5013
Mn 0.7520 0.5015 0.0009
Mn 0.7501 0.5009 0.5010
Mn 0.2505 0.7488 0.9986
Mn 0.2510 0.7487 0.4990
Mn 0.7495 0.2498 0.0020
Mn 0.7463 0.2512 0.5016
Mn 0.7501 0.7500 0.0001
Mn 0.7499 0.7495 0.5007
Mn 0.0002 0.7485 0.2507
Mn 0.0003 0.7486 0.7509
Mn 0.5040 0.2486 0.2521
Mn 0.5017 0.2492 0.7500
Mn 0.5009 0.7501 0.2503
Mn 0.5005 0.7499 0.7501
O 0.1049 0.2663 0.1041
O 0.1062 0.2696 0.6082
O 0.1050 0.7705 0.1034
O 0.1048 0.7704 0.6036
O 0.6091 0.2665 0.1074
O 0.6028 0.2697 0.6013
O 0.6045 0.7702 0.1032
O 0.6044 0.7702 0.6034
O 0.3980 0.2343 0.3937
O 0.3967 0.2305 0.8899
O 0.3964 0.7287 0.3965
O 0.3965 0.7289 0.8964
O 0.8854 0.2361 0.3913
O 0.8916 0.2328 0.8976
O 0.8962 0.7289 0.3976
O 0.8963 0.7289 0.8974
O 0.1387 0.2377 0.3604
O 0.1439 0.2328 0.8533
O 0.1467 0.7284 0.3529
O 0.1465 0.7284 0.8525
O 0.6464 0.2296 0.3543
O 0.6462 0.2304 0.8532
O 0.6462 0.7293 0.3532
O 0.6460 0.7293 0.8530
O 0.3626 0.2629 0.1407
O 0.3578 0.2677 0.6482
O 0.3552 0.7703 0.1461
O 0.3553 0.7702 0.6464
O 0.8533 0.2692 0.1414
O 0.8534 0.2683 0.6420
O 0.8540 0.7707 0.1467
O 0.8541 0.7707 0.6470
O 0.3584 0.4875 0.1422
O 0.3549 0.4814 0.6466
O 0.3589 0.9804 0.1452
O 0.3578 0.9804 0.6481
O 0.8545 0.4798 0.1465
O 0.8541 0.4793 0.6470
O 0.8523 0.9801 0.1418
O 0.8534 0.9815 0.6419
O 0.1398 0.0114 0.3589
O 0.1439 0.0162 0.8539
O 0.1448 0.5229 0.3549
O 0.1461 0.5225 0.8517
O 0.6465 0.0198 0.3530
O 0.6469 0.0203 0.8523
O 0.6462 0.5213 0.3544
O 0.6450 0.5199 0.8540
O 0.3987 0.0162 0.3946
O 0.3979 0.0182 0.8930
O 0.3957 0.5207 0.3961
O 0.3946 0.5228 0.8930
O 0.8858 0.0131 0.3912
O 0.8915 0.0169 0.8977
O 0.8954 0.5218 0.3978
O 0.8962 0.5213 0.8974
O 0.1024 0.4826 0.1018
O 0.1042 0.4801 0.6044
O 0.1063 0.9813 0.1049
O 0.1071 0.9797 0.6075
O 0.6105 0.4848 0.1089
O 0.6047 0.4810 0.6022
O 0.6032 0.9785 0.1019
O 0.6026 0.9791 0.6024
O 0.0015 0.3790 0.2846
O 0.0075 0.3782 0.7867
O 0.0079 0.8710 0.2848
O 0.0077 0.8717 0.7869
O 0.5099 0.3758 0.2876
O 0.5114 0.3754 0.7795
O 0.5118 0.8743 0.2905
O 0.5114 0.8746 0.7907
O 0.4991 0.1236 0.2118
O 0.4913 0.1245 0.7102
O 0.4905 0.6266 0.2113
O 0.4901 0.6255 0.7093
O 0.9914 0.1246 0.2176
O 0.9897 0.1248 0.7248
O 0.9885 0.6254 0.2100
O 0.9888 0.6250 0.7098
O 0.2404 0.1242 0.0246
O 0.2472 0.1247 0.5333
O 0.2387 0.6261 0.0392
O 0.2399 0.6254 0.5406
O 0.7397 0.1241 0.0399
O 0.7405 0.1248 0.5403
O 0.7403 0.6259 0.0391
O 0.7393 0.6252 0.5401
O 0.2597 0.3784 0.4746
O 0.2527 0.3782 0.9647
O 0.2601 0.8714 0.4642
O 0.2587 0.8721 0.9628
O 0.7587 0.3763 0.4617
O 0.7579 0.3757 0.9614
O 0.7590 0.8737 0.4611
O 0.7598 0.8742 0.9600

Output
Energy above the most stable polymorph in this dataset ... 0 meV per atom

=====

## SrCa7Ti2Mn6O24 (PBE+U)

Data for an optimized crystal structure of SrCa7Ti2Mn6O24.

Unit cell a=7.6956 b=7.6573 c=7.6573 alpha=89.97 beta=90.00 gamma=90.00
Element x y z (fractional)
Sr 0.2500 0.2528 0.2528
Ca 0.2500 0.2534 0.7468
Ca 0.2500 0.7468 0.2534
Ca 0.2500 0.7465 0.7465
Ca 0.7500 0.2534 0.2534
Ca 0.7500 0.2534 0.7465
Ca 0.7500 0.7465 0.2534
Ca 0.7500 0.7466 0.7466
Ti 0.9992 0.9991 0.9991
Ti 0.5008 0.9991 0.9991
Mn 0.9994 0.9994 0.5004
Mn 0.9994 0.5004 0.9994
Mn 0.9994 0.5005 0.5005
Mn 0.5006 0.9994 0.5004
Mn 0.5006 0.5004 0.9994
Mn 0.5006 0.5005 0.5005
O 0.9979 0.9980 0.2537
O 0.9996 0.9995 0.7462
O 0.9972 0.5027 0.2501
O 0.9997 0.5003 0.7498
O 0.5021 0.9980 0.2537
O 0.5004 0.9995 0.7462
O 0.5028 0.5027 0.2501
O 0.5003 0.5003 0.7498
O 0.2500 0.9983 0.9983
O 0.2500 0.9972 0.5030
O 0.2500 0.5030 0.9972
O 0.2500 0.5028 0.5028
O 0.7500 0.9995 0.9995
O 0.7500 0.9997 0.5001
O 0.7500 0.5001 0.9997
O 0.7500 0.5003 0.5003
O 0.9979 0.2537 0.9980
O 0.9972 0.2501 0.5027
O 0.9996 0.7462 0.9995
O 0.9997 0.7498 0.5003
O 0.5021 0.2537 0.9980
O 0.5028 0.2501 0.5027
O 0.5004 0.7462 0.9995
O 0.5003 0.7498 0.5003

Output
Energy above the most stable polymorph in this dataset ... 48 meV per atom

=====

## SrCa7TiMn7O21 (PBE+U)

Data for an optimized crystal structure of SrCa7TiMn7O21.

Unit cell a=7.7974 b=7.7802 c=7.7828 alpha=90.26 beta=89.49 gamma=89.83
Element x y z (fractional)
Sr 0.2431 0.2526 0.2560
Ca 0.2904 0.2412 0.7273
Ca 0.2380 0.7325 0.2336
Ca 0.2901 0.7496 0.7120
Ca 0.7549 0.2577 0.2886
Ca 0.7488 0.2712 0.7387
Ca 0.7251 0.7361 0.2499
Ca 0.7620 0.7511 0.6995
Ti 0.0090 0.9943 0.9778
Mn 0.0010 0.0000 0.5145
Mn 0.9875 0.5021 0.0183
Mn 0.0064 0.5011 0.5114
Mn 0.5006 0.9986 0.9832
Mn 0.5107 0.9971 0.4771
Mn 0.5040 0.5024 0.9860
Mn 0.5059 0.5034 0.5093
O 0.9051 0.0112 0.7716
O 0.0441 0.5056 0.2656
O 0.9497 0.4983 0.7699
O 0.5136 0.0573 0.2261
O 0.5256 0.9494 0.7327
O 0.5353 0.5557 0.7449
O 0.2379 0.9901 0.9426
O 0.2529 0.0307 0.5005
O 0.2517 0.5016 0.9974
O 0.2599 0.4663 0.5347
O 0.7614 0.9608 0.4465
O 0.7322 0.4801 0.0740
O 0.7504 0.5312 0.4671
O 0.9686 0.1890 0.0987
O 0.9699 0.2486 0.5028
O 0.9618 0.7893 0.0791
O 0.0428 0.7528 0.5287
O 0.5069 0.2500 0.9328
O 0.5377 0.2610 0.5221
O 0.5017 0.7484 0.0474
O 0.4635 0.7318 0.4316

Output
Energy above the most stable polymorph in this dataset ... 0 meV per atom

=====

## Sr7CaTi5Mn3O20 (PBE+U)

Data for an optimized crystal structure of Sr7CaTi5Mn3O20.

Unit cell a=11.2014 b=11.4260 c=17.8413 alpha=108.64 beta=108.52 gamma=89.85
Element x y z (fractional)
Sr 0.3080 0.0592 0.6104
Sr 0.3143 0.5586 0.6117
Sr 0.8078 0.0623 0.6088
Sr 0.8066 0.5649 0.1079
Sr 0.8046 0.5580 0.6113
Sr 0.1998 0.4334 0.3906
Sr 0.2014 0.4401 0.8908
Sr 0.1985 0.9370 0.3896
Sr 0.2022 0.9393 0.8926
Sr 0.6976 0.4365 0.3934
Sr 0.6960 0.4435 0.8896
Sr 0.6958 0.9372 0.3873
Sr 0.6955 0.9362 0.8906
Sr 0.0592 0.2935 0.1088
Sr 0.0538 0.2961 0.6103
Sr 0.0581 0.8049 0.6121
Sr 0.5555 0.2911 0.1069
Sr 0.5623 0.2979 0.6088
Sr 0.5584 0.7997 0.1132
Sr 0.5608 0.7988 0.6103
Sr 0.4444 0.1997 0.3848
Sr 0.4445 0.1987 0.8902
Sr 0.4462 0.7030 0.3881
Sr 0.4489 0.7044 0.8931
Sr 0.9440 0.2005 0.3873
Sr 0.9522 0.1965 0.8900
Sr 0.9481 0.7067 0.3913
Sr 0.9489 0.7013 0.8909
Ca 0.3028 0.0670 0.1083
Ca 0.3035 0.5658 0.1041
Ca 0.7979 0.0651 0.1045
Ca 0.0539 0.7861 0.1042
Ti 0.0043 0.9962 0.9982
Ti 0.0033 0.0003 0.4976
Ti 0.0024 0.4938 0.9926
Ti 0.0081 0.5052 0.5066
Ti 0.5063 0.0012 0.0046
Ti 0.5033 0.9999 0.4976
Ti 0.5036 0.4978 0.9977
Ti 0.5039 0.4997 0.4983
Ti 0.2571 0.2527 0.0039
Ti 0.2596 0.2522 0.5094
Ti 0.2571 0.7541 0.0060
Ti 0.2601 0.7523 0.5096
Ti 0.7523 0.2484 0.9943
Ti 0.7519 0.2473 0.4970
Ti 0.7585 0.7550 0.0051
Ti 0.7576 0.7517 0.5062
Ti 0.0995 0.0808 0.2422
Ti 0.1106 0.5890 0.2487
Ti 0.6044 0.5855 0.2466
Ti 0.8522 0.4105 0.2491
Mn 0.1122 0.0961 0.7510
Mn 0.1130 0.5965 0.7532
Mn 0.6045 0.0947 0.2476
Mn 0.6111 0.0937 0.7489
Mn 0.6129 0.5966 0.7517
Mn 0.3650 0.3995 0.2476
Mn 0.3612 0.4087 0.7526
Mn 0.3553 0.9059 0.2458
Mn 0.3633 0.9073 0.7542
Mn 0.8607 0.4047 0.7485
Mn 0.8604 0.9029 0.2477
Mn 0.8613 0.9068 0.7513
O 0.1258 0.1233 0.4894
O 0.1272 0.1224 0.9964
O 0.1237 0.6196 0.4862
O 0.1266 0.6221 0.9977
O 0.6237 0.1211 0.4897
O 0.6305 0.1256 0.9948
O 0.6256 0.6225 0.4909
O 0.6275 0.6240 0.9962
O 0.1394 0.3867 0.0180
O 0.1301 0.3736 0.5009
O 0.1368 0.8824 0.0186
O 0.1335 0.8727 0.5041
O 0.6363 0.3786 0.0115
O 0.6315 0.3778 0.5060
O 0.6399 0.8808 0.0133
O 0.6317 0.8730 0.5028
O 0.3707 0.1206 0.4884
O 0.3774 0.1212 0.9952
O 0.3713 0.6193 0.4875
O 0.3781 0.6195 0.9967
O 0.8751 0.1180 0.4893
O 0.8784 0.1216 0.0001
O 0.8740 0.6187 0.4876
O 0.8825 0.6196 0.9966
O 0.3867 0.3868 0.0154
O 0.3788 0.3758 0.5033
O 0.3852 0.8859 0.0157
O 0.3796 0.8753 0.5045
O 0.8891 0.3840 0.0155
O 0.8838 0.3815 0.5049
O 0.8916 0.8876 0.0187
O 0.8808 0.8766 0.5036
O 0.0968 0.1016 0.1441
O 0.0746 0.0780 0.6237
O 0.0905 0.6097 0.1479
O 0.0757 0.5829 0.6242
O 0.5861 0.0859 0.1272
O 0.5697 0.0785 0.6222
O 0.5892 0.5920 0.1412
O 0.5682 0.5817 0.6244
O 0.4450 0.4188 0.3704
O 0.4480 0.4167 0.8771
O 0.4387 0.9186 0.3704
O 0.4508 0.9190 0.8785
O 0.9343 0.4086 0.3575
O 0.9493 0.4149 0.8761
O 0.9502 0.9180 0.3712
O 0.9490 0.9194 0.8785
O 0.3256 0.2845 0.1289
O 0.3231 0.2951 0.6263
O 0.3244 0.7811 0.1289
O 0.3227 0.7915 0.6264
O 0.8270 0.2935 0.1432
O 0.8235 0.2934 0.6236
O 0.8333 0.7890 0.1284
O 0.8243 0.7919 0.6254
O 0.1857 0.1953 0.3458
O 0.1959 0.2105 0.8785
O 0.1903 0.7048 0.3517
O 0.1977 0.7090 0.8797
O 0.6942 0.2070 0.3723
O 0.7034 0.2096 0.8763
O 0.6848 0.6973 0.3540
O 0.7050 0.7076 0.8787
O 0.4155 0.0721 0.2398
O 0.4288 0.0739 0.7509
O 0.4346 0.5687 0.2401
O 0.4293 0.5757 0.7531
O 0.9327 0.0702 0.2390
O 0.9274 0.0732 0.7495
O 0.9464 0.5557 0.2485
O 0.9289 0.5744 0.7512
O 0.1810 0.4438 0.2490
O 0.1771 0.4260 0.7499
O 0.1575 0.9285 0.2401
O 0.1794 0.9271 0.7523
O 0.6770 0.4334 0.2495
O 0.6785 0.4258 0.7500
O 0.6809 0.9318 0.2502
O 0.6786 0.9260 0.7512

=====

## SrCaTiMnO6 (PBE+U)

Data for an optimized crystal structure of SrCaTiMnO6.

Unit cell a=3.8853 b=7.7419 c=7.7357 alpha=90.00 beta=90.00 gamma=90.00
Element x y z (fractional)
Sr 0.5000 0.2512 0.2500
Sr 0.5000 0.2512 0.7500
Ca 0.5000 0.7359 0.2500
Ca 0.5000 0.7359 0.7500
Ti 0.0000 0.9907 0.0000
Ti 0.0000 0.9907 0.5000
Mn 0.0000 0.4994 0.5000
Mn 0.0000 0.4994 0.0000
O 0.0000 0.2570 0.0000
O 0.0000 0.2570 0.5000
O 0.0000 0.7467 0.0000
O 0.0000 0.7468 0.5000
O 0.5000 0.9977 0.0000
O 0.5000 0.9978 0.5000
O 0.0000 0.9977 0.2500
O 0.0000 0.9977 0.7500
O 0.5000 0.5136 0.0000
O 0.5000 0.5136 0.5000
O 0.0000 0.5100 0.2500
O 0.0000 0.5100 0.7500

Output
Energy above the most stable polymorph in this dataset ... 31 meV per atom

=====

Number 1: DFT total energy -0.53047 Ry/atom, formation energy from the elements -2.749 eV per atom. Number 2: DFT total energy -0.52691 Ry/atom, formation energy from the elements -2.700 eV per atom. Number 3: DFT total energy -0.52460 Ry/atom, formation energy from the elements -2.663 eV per atom. Number 4: DFT total energy -0.55951 Ry/atom, formation energy from the elements -3.140 eV per atom. Number 5: DFT total energy -0.54791 Ry/atom, formation energy from the elements -2.990 eV per atom.